(1)
Computed, not measured: crystalline BaCaEuWO6 at its relaxed geometry at the GGA+U level of DFT. Values from VASP.

```
&SYSTEM
  ibrav = 0, nat = 10, ntyp = 5
/
ATOMIC_SPECIES
Ba 137.33 Ba.upf
Ca 40.08 Ca.upf
Eu 151.96 Eu.upf
W 183.84 W.upf
O 16.00 O.upf
ATOMIC_POSITIONS crystal
Ba 0.0000 0.0000 0.0000
Ca 0.7500 0.7500 0.7500
Eu 0.5000 0.5000 0.5000
W 0.2500 0.2500 0.2500
O 0.0186 0.0186 0.4814
O 0.0186 0.4814 0.0186
O 0.0186 0.4814 0.4814
O 0.4814 0.0186 0.0186
O 0.4814 0.0186 0.4814
O 0.4814 0.4814 0.0186
CELL_PARAMETERS angstrom
0.0000 4.2212 4.2212
4.2212 0.0000 4.2212
4.2212 4.2212 0.0000
```

Output
Energy of formation ... -2.970 eV/atom
Final energy ... -7.796 eV per atom
Energy above the most stable polymorph in this dataset ... 0.39 eV/f.u.


(2)
Computed, not measured: crystalline MgMn6O10F2 at its relaxed geometry at the GGA+U level of DFT. Values from VASP.

```
&SYSTEM
  ibrav = 0, nat = 19, ntyp = 4
/
ATOMIC_SPECIES
Mg 24.30 Mg.upf
Mn 54.94 Mn.upf
O 16.00 O.upf
F 19.00 F.upf
ATOMIC_POSITIONS crystal
Mg 0.0000 0.0000 0.0000
Mn 0.2982 0.0000 0.3319
Mn 0.4377 0.0000 0.6526
Mn 0.5092 0.0000 0.9477
Mn 0.7933 0.5000 0.1876
Mn 0.8212 0.5000 0.4784
Mn 0.9812 0.5000 0.8030
O 0.1451 0.5000 0.4019
O 0.1749 0.0000 0.8691
O 0.2485 0.5000 0.7085
O 0.4615 0.5000 0.2654
O 0.5625 0.5000 0.5761
O 0.6501 0.0000 0.4147
O 0.7149 0.0000 0.0952
O 0.7762 0.0000 0.7534
O 0.7799 0.5000 0.9254
O 0.9957 0.0000 0.2414
F 0.0057 0.0000 0.5492
F 0.2418 0.5000 0.0376
CELL_PARAMETERS angstrom
5.0906 0.0000 0.0000
0.0000 2.9706 0.0000
-0.4611 0.0000 13.9046
```

Output
M_tot ... 22.0 μB per formula unit
Energy of formation ... -2.067 eV/atom
Final energy ... -6.913 eV per atom
Energy above the most stable polymorph in this dataset ... 1.21 eV/f.u.


(3)
Computed, not measured: crystalline Li4Ni3SbO8 at its relaxed geometry at the GGA+U level of DFT. Values from VASP.

```
&SYSTEM
  ibrav = 0, nat = 32, ntyp = 4
/
ATOMIC_SPECIES
Li 6.94 Li.upf
Ni 58.69 Ni.upf
Sb 121.76 Sb.upf
O 16.00 O.upf
ATOMIC_POSITIONS crystal
Li 0.2387 0.2548 0.2543
Li 0.2500 0.7481 0.7502
Li 0.2527 0.7476 0.2495
Li 0.2541 0.2355 0.7561
Li 0.7459 0.7645 0.2439
Li 0.7473 0.2524 0.7505
Li 0.7500 0.2519 0.2498
Li 0.7613 0.7452 0.7457
Ni 0.0000 0.0000 0.0000
Ni 0.0000 0.0000 0.5000
Ni 0.0000 0.5000 0.5000
Ni 0.5000 0.0000 0.0000
Ni 0.5000 0.5000 0.0000
Ni 0.5000 0.5000 0.5000
Sb 0.0000 0.5000 0.0000
Sb 0.5000 0.0000 0.5000
O 0.1191 0.6225 0.1178
O 0.1197 0.1397 0.1168
O 0.1248 0.6410 0.6071
O 0.1396 0.1210 0.6168
O 0.3552 0.8780 0.8923
O 0.3584 0.3784 0.8824
O 0.3793 0.3581 0.3826
O 0.3789 0.8795 0.3820
O 0.6211 0.1205 0.6180
O 0.6207 0.6419 0.6174
O 0.6416 0.6216 0.1176
O 0.6448 0.1220 0.1077
O 0.8604 0.8790 0.3832
O 0.8752 0.3590 0.3929
O 0.8803 0.8603 0.8832
O 0.8809 0.3775 0.8822
CELL_PARAMETERS angstrom
5.9879 0.0000 0.0000
2.9900 5.1939 0.0000
2.9918 1.7042 9.7592
```

Output
M_tot ... 5.0 μB per formula unit
Energy of formation ... -1.786 eV/atom
Final energy ... -5.259 eV per atom
Energy above the most stable polymorph in this dataset ... 0.03 eV/f.u.


(4)
Computed, not measured: crystalline Li2MnF4 at its relaxed geometry at the GGA+U level of DFT. Values from VASP.

```
&SYSTEM
  ibrav = 0, nat = 56, ntyp = 3
/
ATOMIC_SPECIES
Li 6.94 Li.upf
Mn 54.94 Mn.upf
F 19.00 F.upf
ATOMIC_POSITIONS crystal
Li 0.1755 0.0557 0.1426
Li 0.1755 0.4443 0.6426
Li 0.2542 0.5601 0.3680
Li 0.2542 0.9399 0.8680
Li 0.2712 0.1125 0.6252
Li 0.2712 0.3875 0.1252
Li 0.2898 0.5874 0.8892
Li 0.2898 0.9126 0.3892
Li 0.7102 0.0874 0.6108
Li 0.7102 0.4126 0.1108
Li 0.7288 0.6125 0.8748
Li 0.7288 0.8875 0.3748
Li 0.7458 0.0601 0.1320
Li 0.7458 0.4399 0.6320
Li 0.8245 0.5557 0.3574
Li 0.8245 0.9443 0.8574
Mn 0.0043 0.7320 0.1245
Mn 0.0043 0.7680 0.6245
Mn 0.4609 0.7418 0.1345
Mn 0.4609 0.7582 0.6345
Mn 0.5391 0.2418 0.3655
Mn 0.5391 0.2582 0.8655
Mn 0.9957 0.2320 0.3755
Mn 0.9957 0.2680 0.8755
F 0.0410 0.0482 0.8087
F 0.0410 0.4518 0.3087
F 0.1111 0.2339 0.0571
F 0.1111 0.2661 0.5571
F 0.1935 0.5774 0.0547
F 0.1935 0.9226 0.5547
F 0.2469 0.7446 0.2693
F 0.2469 0.7554 0.7693
F 0.2533 0.1232 0.3139
F 0.2533 0.3768 0.8139
F 0.2684 0.5992 0.5416
F 0.2684 0.9008 0.0416
F 0.4169 0.0663 0.7808
F 0.4169 0.4337 0.2808
F 0.4824 0.1656 0.5400
F 0.4824 0.3344 0.0400
F 0.5176 0.6656 0.9600
F 0.5176 0.8344 0.4600
F 0.5831 0.5663 0.7192
F 0.5831 0.9337 0.2192
F 0.7316 0.0992 0.9584
F 0.7316 0.4008 0.4584
F 0.7467 0.6232 0.1861
F 0.7467 0.8768 0.6861
F 0.7531 0.2446 0.2307
F 0.7531 0.2554 0.7307
F 0.8065 0.0774 0.4453
F 0.8065 0.4226 0.9453
F 0.8889 0.7339 0.4429
F 0.8889 0.7661 0.9429
F 0.9590 0.5482 0.6913
F 0.9590 0.9518 0.1913
CELL_PARAMETERS angstrom
7.2395 0.0000 0.0000
0.0000 8.7251 0.0000
-0.6029 0.0000 10.5866
```

Output
M_tot ... 0.0 μB per formula unit
Energy of formation ... -3.013 eV/atom
Final energy ... -5.459 eV per atom
Energy above the most stable polymorph in this dataset ... 0.32 eV/f.u.